DFT (GGA+U) results for a relaxed structure of Li2CrPCO7.

- formation enthalpy at 0 K (eV/f.u.) = -29.2
- energy above the lowest structure with this stoichiometry (eV/atom) = 0.0000
- E (MP2020) (eV/atom) = -7.6591

abc: 5.0697 6.4100 16.6739
angles: 90.00 83.94 89.99
Fractional positions:
O (0.8629, 0.2293, 0.2869)
O (0.5760, 0.7781, 0.7696)
Li (0.7815, 0.2457, 0.0497)
O (0.5121, 0.7243, 0.0867)
Li (0.2186, 0.7456, 0.4503)
O (0.2109, 0.5632, 0.3492)
O (0.4878, 0.2242, 0.4132)
O (0.9318, 0.7558, 0.0390)
O (0.8362, 0.4366, 0.6548)
Cr (0.2040, 0.2532, 0.8379)
O (0.1638, 0.9369, 0.3452)
O (0.0683, 0.2558, 0.4610)
P (0.2712, 0.7493, 0.7908)
O (0.7891, 0.0632, 0.1508)
O (0.5123, 0.7240, 0.5867)
Cr (0.2036, 0.2535, 0.3379)
O (0.2110, 0.5628, 0.8492)
Li (0.2607, 0.4604, 0.1407)
Cr (0.7960, 0.7536, 0.1621)
O (0.4879, 0.2240, 0.9133)
O (0.3891, 0.2799, 0.0468)
O (0.6109, 0.7798, 0.4533)
O (0.1370, 0.7294, 0.2131)
Li (0.2186, 0.7455, 0.9503)
Li (0.7816, 0.2455, 0.5497)
O (0.9318, 0.7555, 0.5390)
C (0.6826, 0.7524, 0.5227)
Li (0.2609, 0.4603, 0.6406)
P (0.7288, 0.2494, 0.7092)
O (0.1371, 0.7291, 0.7131)
O (0.3893, 0.2798, 0.5467)
C (0.3176, 0.2526, 0.4773)
O (0.6109, 0.7797, 0.9532)
O (0.7891, 0.0628, 0.6509)
O (0.4239, 0.2781, 0.7305)
P (0.7287, 0.2497, 0.2092)
O (0.1639, 0.9365, 0.8452)
O (0.4239, 0.2784, 0.2304)
O (0.8629, 0.2291, 0.7869)
Cr (0.7958, 0.7531, 0.6622)
O (0.8360, 0.4369, 0.1548)
O (0.5760, 0.7784, 0.2695)
Li (0.7392, 0.9604, 0.3594)
P (0.2712, 0.7497, 0.2908)
C (0.3175, 0.2525, 0.9773)
O (0.0682, 0.2556, 0.9610)
C (0.6824, 0.7526, 0.0226)
Li (0.7393, 0.9603, 0.8593)